Entry 1:
The following is a PBE-GGA calculation of a relaxed structure of KHfMg14O15, from the Materials Project database.

Properties
As for the energy: -181.8 eV per formula unit. For the excess energy over the best structure of this formula in the dataset, the calculation gives 11 meV/atom. As for the total energy after the MP2020 corrections: -0.4556 Ry/atom. The formation energy is -84.5 eV per formula unit.

abc: 4.437 8.808 8.602
angles: 90.00 90.00 90.00
Space group Pmm2 (No. 25)
Unique sites:
K 0.000 0.000 0.000 (multiplicity 1)
Hf 0.000 0.500 0.514 (multiplicity 1)
Mg 0.000 0.000 0.526 (multiplicity 1)
Mg 0.000 0.240 0.260 (multiplicity 2)
Mg 0.000 0.254 0.774 (multiplicity 2)
Mg 0.000 0.500 0.020 (multiplicity 1)
Mg 0.500 0.000 0.265 (multiplicity 1)
Mg 0.500 0.000 0.766 (multiplicity 1)
Mg 0.500 0.239 0.517 (multiplicity 2)
Mg 0.500 0.250 0.019 (multiplicity 2)
Mg 0.500 0.500 0.258 (multiplicity 1)
Mg 0.500 0.500 0.778 (multiplicity 1)
O 0.000 0.000 0.292 (multiplicity 1)
O 0.000 0.258 0.515 (multiplicity 2)
O 0.000 0.276 0.018 (multiplicity 2)
O 0.000 0.500 0.270 (multiplicity 1)
O 0.000 0.500 0.763 (multiplicity 1)
O 0.500 0.000 0.022 (multiplicity 1)
O 0.500 0.000 0.516 (multiplicity 1)
O 0.500 0.251 0.269 (multiplicity 2)
O 0.500 0.256 0.766 (multiplicity 2)
O 0.500 0.500 0.018 (multiplicity 1)
O 0.500 0.500 0.516 (multiplicity 1)

---

Entry 2:
The following is a PBE-GGA calculation of a relaxed structure of KNaHf4P6O24, from the Materials Project database.

Properties
As for the energy: -294.2 eV per formula unit. As for the total energy after the MP2020 corrections: -0.6343 Ry/atom. The formation energy is -117.2 eV per formula unit.

abc: 8.8527 8.8527 23.2126
angles: 90.00 90.00 120.00
Space group R-3 (No. 148, hexagonal axes)
Unique sites:
K 0.0000 0.0000 0.0000 (multiplicity 3)
Na 0.0000 0.0000 0.5000 (multiplicity 3)
Hf 0.0000 0.0000 0.1470 (multiplicity 6)
Hf 0.0000 0.0000 0.3534 (multiplicity 6)
P 0.0021 0.2927 0.2496 (multiplicity 18)
O 0.0186 0.8158 0.6957 (multiplicity 18)
O 0.0206 0.1937 0.9089 (multiplicity 18)
O 0.0210 0.8309 0.4115 (multiplicity 18)
O 0.0230 0.2025 0.1958 (multiplicity 18)

---

Entry 3:
The following is a PBE-GGA calculation of a relaxed structure of KNdHfTiO6, from the Materials Project database.

Properties
As for the energy: -83.7 eV per formula unit. As for the total energy after the MP2020 corrections: -0.6454 Ry/atom. The formation energy is -34.4 eV per formula unit.

abc: 8.039 8.039 8.039
angles: 90.00 90.00 90.00
Space group F-43m (No. 216)
Unique sites:
K 0.000 0.000 0.000 (multiplicity 4)
Nd 0.000 0.000 0.500 (multiplicity 4)
Hf 0.250 0.250 0.250 (multiplicity 4)
Ti 0.250 0.250 0.750 (multiplicity 4)
O 0.006 0.250 0.750 (multiplicity 24)

---

Entry 4:
The following is a PBE-GGA calculation of a relaxed structure of KNdHfZrO6, from the Materials Project database.

Properties
As for the energy: -84.5 eV per formula unit. As for the total energy after the MP2020 corrections: -0.6513 Ry/atom. The formation energy is -34.5 eV per formula unit.

abc: 8.297 8.297 8.297
angles: 90.00 90.00 90.00
Space group F-43m (No. 216)
Unique sites:
K 0.000 0.000 0.000 (multiplicity 4)
Nd 0.000 0.000 0.500 (multiplicity 4)
Hf 0.250 0.250 0.250 (multiplicity 4)
Zr 0.250 0.250 0.750 (multiplicity 4)
O 0.002 0.250 0.250 (multiplicity 24)

---

Entry 5:
The following is a PBE-GGA calculation of a relaxed structure of K4HfO4, from the Materials Project database.

Properties
As for the energy: -53.2 eV per formula unit. As for the total energy after the MP2020 corrections: -0.4571 Ry/atom. The formation energy is -21.8 eV per formula unit.

abc: 6.615 6.624 9.870
angles: 71.89 80.09 66.98
Space group P-1 (No. 2)
Unique sites:
K 0.222 0.459 0.118 (multiplicity 2)
K 0.243 0.264 0.526 (multiplicity 2)
K 0.258 0.912 0.333 (multiplicity 2)
K 0.273 0.013 0.941 (multiplicity 2)
Hf 0.277 0.654 0.746 (multiplicity 2)
O 0.040 0.791 0.878 (multiplicity 2)
O 0.132 0.659 0.586 (multiplicity 2)
O 0.458 0.345 0.852 (multiplicity 2)
O 0.462 0.842 0.691 (multiplicity 2)

---

Entry 6:
The following is a PBE-GGA calculation of a relaxed structure of K4Hf5O12, from the Materials Project database.

Properties
As for the energy: -177.0 eV per formula unit. As for the total energy after the MP2020 corrections: -0.6484 Ry/atom. The formation energy is -71.7 eV per formula unit.

abc: 5.8246 5.8246 10.4204
angles: 90.00 90.00 120.00
Space group P-3m1 (No. 164)
Unique sites:
K 0.0000 0.0000 0.1756 (multiplicity 2)
K 0.3333 0.6667 0.6141 (multiplicity 2)
Hf 0.0000 0.0000 0.5000 (multiplicity 1)
Hf 0.3333 0.6667 0.2835 (multiplicity 2)
Hf 0.3333 0.6667 0.9765 (multiplicity 2)
O 0.0187 0.5093 0.1226 (multiplicity 6)
O 0.1646 0.3292 0.3783 (multiplicity 6)

---

Entry 7:
The following is a PBE-GGA calculation of a relaxed structure of KHfO3, from the Materials Project database.

Properties
As for the energy: -38.6 eV per formula unit. As for the total energy after the MP2020 corrections: -0.5975 Ry/atom. The formation energy is -14.7 eV per formula unit.

abc: 4.178 4.178 4.178
angles: 90.00 90.00 90.00
Space group Pm-3m (No. 221)
Unique sites:
K 0.000 0.000 0.000 (multiplicity 1)
Hf 0.500 0.500 0.500 (multiplicity 1)
O 0.000 0.500 0.500 (multiplicity 3)

---

Entry 8:
The following is a PBE-GGA calculation of a relaxed structure of K2HfO3, from the Materials Project database.

Properties
As for the energy: -42.1 eV per formula unit. As for the total energy after the MP2020 corrections: -0.5405 Ry/atom. The formation energy is -17.1 eV per formula unit.

abc: 5.8798 5.8798 12.4924
angles: 90.00 90.00 120.00
Space group P6_3/mcm (No. 193)
Unique sites:
K 0.0000 0.0000 0.0000 (multiplicity 2)
K 0.0000 0.3137 0.2500 (multiplicity 6)
Hf 0.3333 0.6667 0.0000 (multiplicity 4)
O 0.0000 0.4005 0.5935 (multiplicity 12)

---

Entry 9:
The following is a PBE-GGA calculation of a relaxed structure of K2Hf2O5, from the Materials Project database.

Properties
As for the energy: -73.1 eV per formula unit. As for the total energy after the MP2020 corrections: -0.6247 Ry/atom. The formation energy is -29.6 eV per formula unit.

abc: 5.863 10.753 8.816
angles: 90.00 90.00 90.00
Space group Pnna (No. 52)
Unique sites:
K 0.067 0.167 0.076 (multiplicity 8)
Hf 0.032 0.076 0.659 (multiplicity 8)
O 0.004 0.750 0.250 (multiplicity 4)
O 0.127 0.606 0.950 (multiplicity 8)
O 0.250 0.000 0.247 (multiplicity 4)
O 0.250 0.000 0.821 (multiplicity 4)

---

Entry 10:
The following is a PBE-GGA calculation of a relaxed structure of K2YHfP3O12, from the Materials Project database.

Properties
As for the energy: -146.9 eV per formula unit. For the excess energy over the best structure of this formula in the dataset, the calculation gives 2 meV/atom. As for the total energy after the MP2020 corrections: -0.6003 Ry/atom. The formation energy is -60.9 eV per formula unit.

abc: 10.488 10.488 10.488
angles: 90.00 90.00 90.00
Space group P2_13 (No. 198)
Unique sites:
K 0.073 0.427 0.573 (multiplicity 4)
K 0.201 0.799 0.299 (multiplicity 4)
Y 0.084 0.584 0.916 (multiplicity 4)
Hf 0.145 0.145 0.145 (multiplicity 4)
P 0.043 0.764 0.620 (multiplicity 12)
O 0.004 0.399 0.850 (multiplicity 12)
O 0.005 0.531 0.294 (multiplicity 12)
O 0.019 0.677 0.736 (multiplicity 12)
O 0.084 0.312 0.235 (multiplicity 12)